No. 1
Material: Te2MoWSeS
Method: DFT, PBE
State: relaxed

Cell and atoms, written as POSCAR:
```
Te2MoWSeS
1.0
3.3954 0.0000 0.0000
-1.6977 2.9405 0.0000
0.0000 0.0000 39.9269
Te Mo W Se S
4 2 2 2 2
Direct
0.0000 0.0000 0.0000
0.0000 0.0000 0.0944
0.3333 0.6667 0.1897
0.3333 0.6667 0.2836
0.0000 0.0000 0.2367
0.0000 0.0000 0.8598
0.3333 0.6667 0.0472
0.3333 0.6667 0.4237
0.3333 0.6667 0.8185
0.3333 0.6667 0.9011
0.0000 0.0000 0.3860
0.0000 0.0000 0.4615
```

## Properties
magnetic moment: 0.00 μB per cell

No. 2
Material: Te2MoW3Se2S4
Method: DFT, PBE
State: relaxed

Cell and atoms, written as POSCAR:
```
Te2MoW3Se2S4
1.0
3.3086 0.0000 0.0000
-1.6543 2.8653 0.0000
0.0000 0.0000 37.6948
Te Mo W Se S
2 1 3 2 4
Direct
0.0000 0.0000 0.0000
0.0000 0.0000 0.1021
0.0000 0.0000 0.2389
0.0000 0.0000 0.8631
0.3333 0.6667 0.0510
0.3333 0.6667 0.4268
0.0000 0.0000 0.3819
0.0000 0.0000 0.4716
0.3333 0.6667 0.1984
0.3333 0.6667 0.2794
0.3333 0.6667 0.8224
0.3333 0.6667 0.9038
```

## Properties
magnetic moment: 0.00 μB per cell

No. 3
Material: Te2Mo3WSe2S4
Method: DFT, PBE
State: relaxed

Cell and atoms, written as POSCAR:
```
Te2Mo3WSe2S4
1.0
3.3106 0.0000 0.0000
-1.6553 2.8670 0.0000
0.0000 0.0000 37.6306
Te Mo W Se S
2 3 1 2 4
Direct
0.0000 0.0000 0.0000
0.0000 0.0000 0.1023
0.0000 0.0000 0.2390
0.0000 0.0000 0.8632
0.3333 0.6667 0.4269
0.3333 0.6667 0.0512
0.0000 0.0000 0.3822
0.0000 0.0000 0.4715
0.3333 0.6667 0.1984
0.3333 0.6667 0.2796
0.3333 0.6667 0.8227
0.3333 0.6667 0.9039
```

## Properties
magnetic moment: 0.00 μB per cell

No. 4
Material: Te2Mo3WSe4S2
Method: DFT, PBE
State: relaxed

Cell and atoms, written as POSCAR:
```
Te2Mo3WSe4S2
1.0
3.3443 0.0000 0.0000
-1.6721 2.8962 0.0000
0.0000 0.0000 38.0224
Te Mo W Se S
2 3 1 4 2
Direct
0.0000 0.0000 0.0000
0.0000 0.0000 0.0998
0.0000 0.0000 0.4863
0.0000 0.0000 0.8620
0.3333 0.6667 0.0499
0.3333 0.6667 0.6742
0.0000 0.0000 0.6301
0.0000 0.0000 0.7183
0.3333 0.6667 0.4425
0.3333 0.6667 0.5301
0.3333 0.6667 0.8222
0.3333 0.6667 0.9019
```

## Properties
magnetic moment: 0.00 μB per cell

No. 5
Material: Te2MoW3Se4S2
Method: DFT, PBE
State: relaxed

Cell and atoms, written as POSCAR:
```
Te2MoW3Se4S2
1.0
3.3427 0.0000 0.0000
-1.6713 2.8948 0.0000
0.0000 0.0000 38.0725
Te Mo W Se S
2 1 3 4 2
Direct
0.0000 0.0000 0.0000
0.0000 0.0000 0.1001
0.0000 0.0000 0.8621
0.0000 0.0000 0.4864
0.3333 0.6667 0.0501
0.3333 0.6667 0.6743
0.0000 0.0000 0.6304
0.0000 0.0000 0.7182
0.3333 0.6667 0.8184
0.3333 0.6667 0.9059
0.3333 0.6667 0.4464
0.3333 0.6667 0.5264
```

## Properties
magnetic moment: 0.01 μB per cell

No. 6
Material: Te2Mo3WSe2S4
Method: DFT, PBE
State: relaxed

Cell and atoms, written as POSCAR:
```
Te2Mo3WSe2S4
1.0
3.3062 0.0000 0.0000
-1.6531 2.8632 0.0000
0.0000 0.0000 38.9448
Te Mo W Se S
2 3 1 2 4
Direct
0.0000 0.0000 0.0000
0.0000 0.0000 0.0981
0.0000 0.0000 0.2400
0.6667 0.3333 0.0491
0.6667 0.3333 0.4266
0.0000 0.0000 0.6146
0.6667 0.3333 0.1969
0.6667 0.3333 0.2832
0.0000 0.0000 0.3874
0.0000 0.0000 0.4658
0.6667 0.3333 0.5752
0.6667 0.3333 0.6540
```

## Properties
magnetic moment: 0.00 μB per cell

No. 7
Material: Te2Mo3WSe4S2
Method: DFT, PBE
State: relaxed

Cell and atoms, written as POSCAR:
```
Te2Mo3WSe4S2
1.0
3.3437 0.0000 0.0000
-1.6718 2.8957 0.0000
0.0000 0.0000 38.0954
Te Mo W Se S
2 3 1 4 2
Direct
0.0000 0.0000 0.0000
0.0000 0.0000 0.0995
0.0000 0.0000 0.2377
0.6667 0.3333 0.0497
0.6667 0.3333 0.6740
0.0000 0.0000 0.8618
0.6667 0.3333 0.1939
0.6667 0.3333 0.2814
0.6667 0.3333 0.8178
0.6667 0.3333 0.9058
0.0000 0.0000 0.6342
0.0000 0.0000 0.7138
```

## Properties
magnetic moment: 0.00 μB per cell

No. 8
Material: Te2MoWSeS
Method: DFT, PBE
State: relaxed

Cell and atoms, written as POSCAR:
```
Te2MoWSeS
1.0
3.3947 0.0000 0.0000
-1.6974 2.9399 0.0000
0.0000 0.0000 38.8341
Te Mo W Se S
4 2 2 2 2
Direct
0.0000 0.0000 0.0000
0.0000 0.0000 0.0971
0.3333 0.6667 0.8122
0.3333 0.6667 0.9088
0.0000 0.0000 0.8605
0.3333 0.6667 0.6727
0.0000 0.0000 0.4849
0.3333 0.6667 0.0486
0.0000 0.0000 0.6302
0.0000 0.0000 0.7152
0.3333 0.6667 0.4460
0.3333 0.6667 0.5237
```

## Properties
magnetic moment: 0.00 μB per cell

No. 9
Material: Te2MoWSeS
Method: DFT, PBE
State: relaxed

Cell and atoms, written as POSCAR:
```
Te2MoWSeS
1.0
3.4013 0.0000 0.0000
-1.7007 2.9456 0.0000
0.0000 0.0000 38.7113
Te Mo W Se S
4 2 2 2 2
Direct
0.0000 0.0000 0.0000
0.0000 0.0000 0.0968
0.0000 0.0000 0.3754
0.0000 0.0000 0.4728
0.0000 0.0000 0.2363
0.6667 0.3333 0.0484
0.0000 0.0000 0.6121
0.6667 0.3333 0.4241
0.6667 0.3333 0.5693
0.6667 0.3333 0.6548
0.6667 0.3333 0.1975
0.6667 0.3333 0.2750
```

## Properties
magnetic moment: 0.02 μB per cell

No. 10
Material: Te2MoW3Se2S4
Method: DFT, PBE
State: relaxed

Cell and atoms, written as POSCAR:
```
Te2MoW3Se2S4
1.0
3.3086 0.0000 0.0000
-1.6543 2.8653 0.0000
0.0000 0.0000 37.6626
Te Mo W Se S
2 1 3 2 4
Direct
0.0000 0.0000 0.0000
0.0000 0.0000 0.1022
0.0000 0.0000 0.8632
0.0000 0.0000 0.4875
0.3333 0.6667 0.0511
0.3333 0.6667 0.6754
0.3333 0.6667 0.4426
0.3333 0.6667 0.5323
0.0000 0.0000 0.6346
0.0000 0.0000 0.7161
0.3333 0.6667 0.8227
0.3333 0.6667 0.9038
```

## Properties
magnetic moment: 0.00 μB per cell

No. 11
Material: TeMoWSe2S
Method: DFT, PBE
State: relaxed

Cell and atoms, written as POSCAR:
```
TeMoWSe2S
1.0
3.3437 0.0000 0.0000
-1.6718 2.8957 0.0000
0.0000 0.0000 38.0560
Te Mo W Se S
2 2 2 4 2
Direct
0.0000 0.0000 0.0000
0.0000 0.0000 0.1002
0.0000 0.0000 0.4864
0.0000 0.0000 0.8622
0.3333 0.6667 0.0501
0.3333 0.6667 0.6744
0.3333 0.6667 0.4427
0.3333 0.6667 0.5302
0.3333 0.6667 0.8184
0.3333 0.6667 0.9059
0.0000 0.0000 0.6343
0.0000 0.0000 0.7143
```

## Properties
magnetic moment: 0.01 μB per cell

No. 12
Material: TeMoWSe2S
Method: DFT, PBE
State: relaxed

Cell and atoms, written as POSCAR:
```
TeMoWSe2S
1.0
3.3462 0.0000 0.0000
-1.6731 2.8979 0.0000
0.0000 0.0000 38.0711
Te Mo W Se S
2 2 2 4 2
Direct
0.0000 0.0000 0.0000
0.0000 0.0000 0.1002
0.0000 0.0000 0.8622
0.3333 0.6667 0.6744
0.0000 0.0000 0.4865
0.3333 0.6667 0.0502
0.0000 0.0000 0.6306
0.0000 0.0000 0.7182
0.3333 0.6667 0.4425
0.3333 0.6667 0.5305
0.3333 0.6667 0.8224
0.3333 0.6667 0.9021
```

## Properties
magnetic moment: 0.00 μB per cell

Distance to the lowest polymorph of the same formula, respectively: 0.14, 0.46, 0.45, 0.18, 0.26, 0.00, 0.20, 0.13, 0.22, 0.45, 0.12, 0.22 eV/f.u..
Formation energy from the elements, respectively: -0.484, -0.694, -0.736, -0.637, -0.574, -0.773, -0.636, -0.485, -0.471, -0.694, -0.604, -0.587 eV per atom.
DFT total energy, respectively: -6.688, -7.155, -6.845, -6.723, -7.012, -6.882, -6.722, -6.688, -6.674, -7.155, -6.866, -6.849 eV per atom.